Density functional theory data (meta-GGA r2SCAN) for a geometry-optimized Rb3TlF6 structure.

Formation energy   -2.5720 eV/atom
Total magnetization   0.00 μB/f.u.
Calculated density   4452 kg/m³

Geometry as POSCAR:
```
Rb3TlF6
1.0
0.000 4.750 4.750
4.750 0.000 4.750
4.750 4.750 0.000
Rb Tl F
3 1 6
Cartesian
0.000 0.000 0.000
2.375 2.375 2.375
7.125 7.125 7.125
4.750 4.750 4.750
4.750 4.750 2.590
4.750 2.590 4.750
6.911 4.750 4.750
2.590 4.750 4.750
4.750 6.911 4.750
4.750 4.750 6.911
```